1.
A relaxed NaLi3V4O12 crystal. Source: the Materials Project database, functional PBE+U.

Total DFT energy (no corrections) in eV for the cell shown: -135.59
Calculated volume in Å³/f.u.: 258.1

abc: 6.8431 6.8431 5.9226
angles: 104.99 104.99 82.15
Last column: nearest neighbours and their distance in Å.
Element x y z (fractional)
Na1 0.0000 0.0000 0.0000  4 O 2.29-2.42
Li1 0.4401 0.5599 0.5000  2 O 2.07
Li2 0.6262 0.3738 0.0000  6 O 2.09-2.30
Li3 0.7960 0.2040 0.5000  6 O 2.11-2.26
V1 0.0956 0.4840 0.0043  4 O 1.67-1.83
V2 0.3323 0.0942 0.4989  4 O 1.67-1.83
V3 0.5160 0.9044 0.9957  4 O 1.67-1.83
V4 0.9058 0.6677 0.5011  4 O 1.67-1.83
O1 0.0599 0.6494 0.7968  2 V 1.82-1.83
O2 0.0809 0.6329 0.3038  2 V 1.82-1.83
O3 0.0931 0.1954 0.4554  1 V 1.67
O4 0.3324 0.3754 0.0443  1 V 1.67
O5 0.3506 0.9401 0.2032  2 V 1.82-1.83
O6 0.3671 0.9191 0.6962  2 V 1.82-1.83
O7 0.4937 0.2821 0.5927  1 V 1.70
O8 0.6246 0.6676 0.9557  1 V 1.67
O9 0.6920 0.0767 0.0991  1 V 1.69
O10 0.7179 0.5063 0.4073  1 V 1.70
O11 0.8046 0.9069 0.5446  1 V 1.67
O12 0.9233 0.3080 0.9009  1 V 1.69


2.
A relaxed Fe2P4Pb3O16 crystal. Source: the Materials Project database, functional PBE+U.

Total DFT energy (no corrections) in eV for the cell shown: -344.41
Calculated volume in Å³/f.u.: 354.3

abc: 9.1349 9.1939 9.4680
angles: 90.00 116.97 90.00
Last column: nearest neighbours and their distance in Å.
Element x y z (fractional)
Fe1 0.2460 0.1335 0.2422  6 O 2.01-2.08
Fe2 0.2460 0.3665 0.7422  6 O 2.01-2.08
Fe3 0.7540 0.6335 0.2578  6 O 2.01-2.08
Fe4 0.7540 0.8665 0.7578  6 O 2.01-2.08
P1 0.0203 0.1386 0.8444  4 O 1.55-1.57
P2 0.0203 0.3614 0.3444  4 O 1.55-1.57
P3 0.4259 0.0889 0.6392  4 O 1.54-1.57
P4 0.4259 0.4111 0.1392  4 O 1.54-1.57
P5 0.5741 0.5889 0.8608  4 O 1.54-1.57
P6 0.5741 0.9111 0.3608  4 O 1.54-1.57
P7 0.9797 0.6386 0.6556  4 O 1.55-1.57
P8 0.9797 0.8614 0.1556  4 O 1.55-1.57
Pb1 0.0000 0.0000 0.5000  8 O 2.58-2.75
Pb2 0.0000 0.5000 0.0000  8 O 2.58-2.75
Pb3 0.3022 0.7066 0.5322  4 O 2.42-2.56
Pb4 0.3022 0.7934 0.0322  4 O 2.42-2.56
Pb5 0.6978 0.2066 0.9678  4 O 2.42-2.56
Pb6 0.6978 0.2934 0.4678  4 O 2.42-2.56
O1 0.0784 0.5040 0.7523  1 P 1.56
O2 0.0784 0.9960 0.2523  1 P 1.56
O3 0.0892 0.2058 0.7346  1 P 1.57
O4 0.0892 0.2942 0.2346  1 P 1.57
O5 0.0954 0.7483 0.6305  1 P 1.56
O6 0.0954 0.7517 0.1305  1 P 1.56
O7 0.1615 0.0918 0.0060  1 P 1.55
O8 0.1615 0.4082 0.5060  1 P 1.55
O9 0.3150 0.5429 0.1261  1 P 1.55
O10 0.3150 0.9571 0.6261  1 P 1.55
O11 0.3885 0.5481 0.7600  1 P 1.57
O12 0.3885 0.9519 0.2600  1 P 1.57
O13 0.3930 0.1500 0.4764  1 P 1.54
O14 0.3930 0.3500 0.9764  1 P 1.54
O15 0.4055 0.2136 0.7407  1 P 1.56
O16 0.4055 0.2864 0.2407  1 P 1.56
O17 0.5945 0.7136 0.7593  1 P 1.56
O18 0.5945 0.7864 0.2593  1 P 1.56
O19 0.6070 0.6500 0.0236  1 P 1.54
O20 0.6070 0.8500 0.5236  1 P 1.54
O21 0.6115 0.0481 0.7400  1 P 1.57
O22 0.6115 0.4519 0.2400  1 P 1.57
O23 0.6850 0.0429 0.3739  1 P 1.55
O24 0.6850 0.4571 0.8739  1 P 1.55
O25 0.8385 0.5918 0.4940  1 P 1.55
O26 0.8385 0.9082 0.9940  1 P 1.55
O27 0.9046 0.2483 0.8695  1 P 1.56
O28 0.9046 0.2517 0.3695  1 P 1.56
O29 0.9108 0.7058 0.7654  1 P 1.57
O30 0.9108 0.7942 0.2654  1 P 1.57
O31 0.9216 0.0040 0.7477  1 P 1.56
O32 0.9216 0.4960 0.2477  1 P 1.56


3.
A relaxed K2MoS2O2 crystal. Source: the Materials Project database, functional PBE+U.

E above lowest polymorph in meV per atom: 3
Calculated volume in Å³/f.u.: 177.7

abc: 6.6868 8.4020 13.9182
angles: 90.00 114.66 90.00
Last column: nearest neighbours and their distance in Å.
Element x y z (fractional)
K1 0.1514 0.0183 0.2987  2 O 2.79-3.10
K2 0.1514 0.4817 0.7987  2 O 2.79-3.10
K3 0.3273 0.6844 0.5511  2 O 2.76-2.95
K4 0.3273 0.8156 0.0511  2 O 2.76-2.95
K5 0.6727 0.1844 0.9489  2 O 2.76-2.95
K6 0.6727 0.3156 0.4489  2 O 2.76-2.95
K7 0.8486 0.5183 0.2013  2 O 2.79-3.10
K8 0.8486 0.9817 0.7013  2 O 2.79-3.10
Mo1 0.2744 0.2069 0.5841  2 O 1.77-1.78
Mo2 0.2744 0.2931 0.0841  2 O 1.77-1.78
Mo3 0.7256 0.7069 0.9159  2 O 1.77-1.78
Mo4 0.7256 0.7931 0.4159  2 O 1.77-1.78
S1 0.1502 0.1615 0.9288  1 Mo 2.25
S2 0.1502 0.3385 0.4288  1 Mo 2.25
S3 0.4276 0.6670 0.3012  1 Mo 2.23
S4 0.4276 0.8330 0.8012  1 Mo 2.23
S5 0.5724 0.1670 0.1988  1 Mo 2.23
S6 0.5724 0.3330 0.6988  1 Mo 2.23
S7 0.8498 0.6615 0.5712  1 Mo 2.25
S8 0.8498 0.8385 0.0712  1 Mo 2.25
O1 0.0665 0.2071 0.6325  1 Mo 1.78
O2 0.0665 0.2929 0.1325  1 Mo 1.78
O3 0.3476 0.0120 0.5634  1 Mo 1.77
O4 0.3476 0.4880 0.0634  1 Mo 1.77
O5 0.6524 0.5120 0.9366  1 Mo 1.77
O6 0.6524 0.9880 0.4366  1 Mo 1.77
O7 0.9335 0.7071 0.8675  1 Mo 1.78
O8 0.9335 0.7929 0.3675  1 Mo 1.78


4.
A relaxed LiNi2P5O15 crystal. Source: the Materials Project database, functional PBE+U.

E above lowest polymorph in meV per atom: 0
Calculated volume in Å³/f.u.: 296.8

abc: 5.3504 8.7703 13.4657
angles: 90.00 110.05 90.00
Last column: nearest neighbours and their distance in Å.
Element x y z (fractional)
Li1 0.0000 0.0014 0.0000  4 O 1.92-2.00
Li2 0.0000 0.9986 0.5000  4 O 1.92-2.00
Ni1 0.7597 0.2921 0.4954  5 O 1.98-2.16
Ni2 0.7597 0.7079 0.9954  5 O 1.98-2.16
Ni3 0.9766 0.2920 0.8985  5 O 1.99-2.19
Ni4 0.9766 0.7080 0.3985  5 O 1.99-2.19
P1 0.1788 0.1831 0.3593  4 O 1.50-1.61
P2 0.1788 0.8169 0.8593  4 O 1.50-1.61
P3 0.3358 0.4894 0.3090  4 O 1.49-1.61
P4 0.3358 0.5106 0.8090  4 O 1.49-1.61
P5 0.4088 0.4868 0.0883  4 O 1.49-1.61
P6 0.4088 0.5132 0.5883  4 O 1.49-1.61
P7 0.5571 0.1762 0.0403  4 O 1.50-1.61
P8 0.5571 0.8238 0.5403  4 O 1.50-1.61
P9 0.8708 0.0502 0.6997  4 O 1.49-1.63
P10 0.8708 0.9498 0.1997  4 O 1.49-1.63
O1 0.1043 0.0699 0.2590  2 P 1.61-1.62
O2 0.1043 0.9301 0.7590  2 P 1.61-1.62
O3 0.1386 0.4685 0.0038  1 P 1.51
O4 0.1386 0.5315 0.5038  1 P 1.51
O5 0.1445 0.3453 0.3022  2 P 1.60-1.61
O6 0.1445 0.6547 0.8022  2 P 1.60-1.61
O7 0.1785 0.3699 0.8090  1 P 1.49
O8 0.1785 0.6301 0.3090  1 P 1.49
O9 0.2669 0.1455 0.9791  1 P 1.51
O10 0.2669 0.8545 0.4791  1 P 1.51
O11 0.3703 0.4754 0.1984  2 P 1.57
O12 0.3703 0.5246 0.6984  2 P 1.57
O13 0.4636 0.1512 0.4233  1 P 1.50
O14 0.4636 0.8488 0.9233  1 P 1.50
O15 0.5758 0.3761 0.5897  1 P 1.49
O16 0.5758 0.6239 0.0897  1 P 1.49
O17 0.5922 0.3391 0.0957  2 P 1.59-1.61
O18 0.5922 0.6609 0.5957  2 P 1.59-1.61
O19 0.6070 0.4698 0.3927  1 P 1.51
O20 0.6070 0.5302 0.8927  1 P 1.51
O21 0.6248 0.0641 0.1407  2 P 1.61-1.63
O22 0.6248 0.9359 0.6407  2 P 1.61-1.63
O23 0.7611 0.1700 0.9865  1 P 1.50
O24 0.7611 0.8300 0.4865  1 P 1.50
O25 0.7937 0.1410 0.7786  1 P 1.49
O26 0.7937 0.8590 0.2786  1 P 1.49
O27 0.9538 0.1247 0.6145  1 P 1.51
O28 0.9538 0.8753 0.1145  1 P 1.51
O29 0.9746 0.1764 0.4133  1 P 1.51
O30 0.9746 0.8236 0.9133  1 P 1.51


5.
A relaxed VPO5 crystal. Source: the Materials Project database, functional PBE+U.

E above lowest polymorph in meV per atom: 60
Calculated volume in Å³/f.u.: 87.9

abc: 5.0524 10.4539 7.2959
angles: 90.00 114.15 90.00
Last column: nearest neighbours and their distance in Å.
Element x y z (fractional)
V1 0.0737 0.0735 0.1760  5 O 1.74-1.95
V2 0.0737 0.4265 0.6760  5 O 1.74-1.95
V3 0.9263 0.5735 0.3240  5 O 1.74-1.95
V4 0.9263 0.9265 0.8240  5 O 1.74-1.95
P1 0.2832 0.6505 0.0277  4 O 1.52-1.56
P2 0.2832 0.8495 0.5277  4 O 1.52-1.56
P3 0.7168 0.1505 0.4723  4 O 1.52-1.56
P4 0.7168 0.3495 0.9723  4 O 1.52-1.56
O1 0.1326 0.7189 0.4559  1 P 1.55
O2 0.1326 0.7811 0.9559  1 P 1.55
O3 0.1551 0.5834 0.1570  1 P 1.52
O4 0.1551 0.9166 0.6570  1 P 1.52
O5 0.2239 0.0411 0.0043  2 V 1.74-1.95
O6 0.2239 0.4589 0.5043  2 V 1.74-1.95
O7 0.2525 0.5716 0.8402  1 P 1.55
O8 0.2525 0.9284 0.3402  1 P 1.55
O9 0.3867 0.1767 0.3508  1 P 1.56
O10 0.3867 0.3233 0.8508  1 P 1.56
O11 0.6133 0.6767 0.1492  1 P 1.56
O12 0.6133 0.8233 0.6492  1 P 1.56
O13 0.7475 0.0716 0.6598  1 P 1.55
O14 0.7475 0.4284 0.1598  1 P 1.55
O15 0.7761 0.5411 0.4957  2 V 1.74-1.95
O16 0.7761 0.9589 0.9957  2 V 1.74-1.95
O17 0.8449 0.0834 0.3430  1 P 1.52
O18 0.8449 0.4166 0.8430  1 P 1.52
O19 0.8674 0.2189 0.0441  1 P 1.55
O20 0.8674 0.2811 0.5441  1 P 1.55


6.
A relaxed MoPO5 crystal. Source: the Materials Project database, functional PBE+U.

E above lowest polymorph in meV per atom: 0
Calculated volume in Å³/f.u.: 93.8

abc: 7.6597 6.4668 7.5708
angles: 90.00 90.00 90.00
Last column: nearest neighbours and their distance in Å.
Element x y z (fractional)
Mo1 0.1651 0.2500 0.2281  1 O 1.75
Mo2 0.3349 0.7500 0.7281  1 O 1.75
Mo3 0.6651 0.2500 0.2719  1 O 1.75
Mo4 0.8349 0.7500 0.7719  1 O 1.75
P1 0.1262 0.7500 0.1170  4 O 1.54-1.55
P2 0.3738 0.2500 0.6170  4 O 1.54-1.55
P3 0.6262 0.7500 0.3830  4 O 1.54-1.55
P4 0.8738 0.2500 0.8830  4 O 1.54-1.55
O1 0.0458 0.2500 0.9914  1 P 1.55
O2 0.1122 0.7500 0.6761  1 Mo 1.75
O3 0.1309 0.5602 0.2406  1 P 1.54
O4 0.1309 0.9398 0.2406  1 P 1.54
O5 0.2155 0.2500 0.4912  1 P 1.54
O6 0.2845 0.7500 0.9912  1 P 1.54
O7 0.3691 0.0602 0.7406  1 P 1.54
O8 0.3691 0.4398 0.7406  1 P 1.54
O9 0.3878 0.2500 0.1761  1 Mo 1.75
O10 0.4542 0.7500 0.4914  1 P 1.55
O11 0.5458 0.2500 0.5086  1 P 1.55
O12 0.6122 0.7500 0.8239  1 Mo 1.75
O13 0.6309 0.5602 0.2594  1 P 1.54
O14 0.6309 0.9398 0.2594  1 P 1.54
O15 0.7155 0.2500 0.0088  1 P 1.54
O16 0.7845 0.7500 0.5088  1 P 1.54
O17 0.8691 0.0602 0.7594  1 P 1.54
O18 0.8691 0.4398 0.7594  1 P 1.54
O19 0.8878 0.2500 0.3239  1 Mo 1.75
O20 0.9542 0.7500 0.0086  1 P 1.55


7.
A relaxed LiVF4 crystal. Source: the Materials Project database, functional PBE+U.

E above lowest polymorph in meV per atom: 9
Calculated volume in Å³/f.u.: 69.2

abc: 6.5275 6.7721 3.1311
angles: 90.00 90.00 90.00
Last column: nearest neighbours and their distance in Å.
Element x y z (fractional)
Li1 0.2500 0.2500 0.0164  6 F 2.04-2.10
Li2 0.7500 0.7500 0.9836  6 F 2.04-2.10
V1 0.2500 0.7500 0.4988  6 F 1.91-2.03
V2 0.7500 0.2500 0.5012  6 F 1.91-2.03
F1 0.0431 0.2500 0.5053  1 V 1.91, 2 Li 2.04-2.09
F2 0.2500 0.5600 0.9993  2 V 2.03, 1 Li 2.10
F3 0.2500 0.9400 0.9993  2 V 2.03, 1 Li 2.10
F4 0.4569 0.2500 0.5053  1 V 1.91, 2 Li 2.04-2.09
F5 0.5431 0.7500 0.4947  1 V 1.91, 2 Li 2.04-2.09
F6 0.7500 0.0600 0.0007  2 V 2.03, 1 Li 2.10
F7 0.7500 0.4400 0.0007  2 V 2.03, 1 Li 2.10
F8 0.9569 0.7500 0.4947  1 V 1.91, 2 Li 2.04-2.09


8.
A relaxed NaSrEuWO6 crystal. Source: the Materials Project database, functional PBE+U.

E above lowest polymorph in meV per atom: 0
Calculated volume in Å³/f.u.: 150.2

abc: 5.9663 5.9663 5.9663
angles: 60.00 60.00 60.00
Last column: nearest neighbours and their distance in Å.
Element x y z (fractional)
Na1 0.0000 0.0000 0.0000  12 O 2.99
Sr1 0.5000 0.5000 0.5000  12 O 2.99
Eu1 0.7500 0.7500 0.7500  6 O 2.27
W1 0.2500 0.2500 0.2500  6 O 1.95
O1 0.0190 0.0190 0.4810  1 W 1.95
O2 0.0190 0.4810 0.0190  1 W 1.95
O3 0.0190 0.4810 0.4810  1 W 1.95
O4 0.4810 0.0190 0.0190  1 W 1.95
O5 0.4810 0.0190 0.4810  1 W 1.95
O6 0.4810 0.4810 0.0190  1 W 1.95


What did the eighth record say?
A relaxed NaSrEuWO6 crystal. Source: the Materials Project database, functional PBE+U.

E above lowest polymorph in meV per atom: 0
Calculated volume in Å³/f.u.: 150.2

abc: 5.9663 5.9663 5.9663
angles: 60.00 60.00 60.00
Last column: nearest neighbours and their distance in Å.
Element x y z (fractional)
Na1 0.0000 0.0000 0.0000  12 O 2.99
Sr1 0.5000 0.5000 0.5000  12 O 2.99
Eu1 0.7500 0.7500 0.7500  6 O 2.27
W1 0.2500 0.2500 0.2500  6 O 1.95
O1 0.0190 0.0190 0.4810  1 W 1.95
O2 0.0190 0.4810 0.0190  1 W 1.95
O3 0.0190 0.4810 0.4810  1 W 1.95
O4 0.4810 0.0190 0.0190  1 W 1.95
O5 0.4810 0.0190 0.4810  1 W 1.95
O6 0.4810 0.4810 0.0190  1 W 1.95


What did the third record say?
A relaxed K2MoS2O2 crystal. Source: the Materials Project database, functional PBE+U.

E above lowest polymorph in meV per atom: 3
Calculated volume in Å³/f.u.: 177.7

abc: 6.6868 8.4020 13.9182
angles: 90.00 114.66 90.00
Last column: nearest neighbours and their distance in Å.
Element x y z (fractional)
K1 0.1514 0.0183 0.2987  2 O 2.79-3.10
K2 0.1514 0.4817 0.7987  2 O 2.79-3.10
K3 0.3273 0.6844 0.5511  2 O 2.76-2.95
K4 0.3273 0.8156 0.0511  2 O 2.76-2.95
K5 0.6727 0.1844 0.9489  2 O 2.76-2.95
K6 0.6727 0.3156 0.4489  2 O 2.76-2.95
K7 0.8486 0.5183 0.2013  2 O 2.79-3.10
K8 0.8486 0.9817 0.7013  2 O 2.79-3.10
Mo1 0.2744 0.2069 0.5841  2 O 1.77-1.78
Mo2 0.2744 0.2931 0.0841  2 O 1.77-1.78
Mo3 0.7256 0.7069 0.9159  2 O 1.77-1.78
Mo4 0.7256 0.7931 0.4159  2 O 1.77-1.78
S1 0.1502 0.1615 0.9288  1 Mo 2.25
S2 0.1502 0.3385 0.4288  1 Mo 2.25
S3 0.4276 0.6670 0.3012  1 Mo 2.23
S4 0.4276 0.8330 0.8012  1 Mo 2.23
S5 0.5724 0.1670 0.1988  1 Mo 2.23
S6 0.5724 0.3330 0.6988  1 Mo 2.23
S7 0.8498 0.6615 0.5712  1 Mo 2.25
S8 0.8498 0.8385 0.0712  1 Mo 2.25
O1 0.0665 0.2071 0.6325  1 Mo 1.78
O2 0.0665 0.2929 0.1325  1 Mo 1.78
O3 0.3476 0.0120 0.5634  1 Mo 1.77
O4 0.3476 0.4880 0.0634  1 Mo 1.77
O5 0.6524 0.5120 0.9366  1 Mo 1.77
O6 0.6524 0.9880 0.4366  1 Mo 1.77
O7 0.9335 0.7071 0.8675  1 Mo 1.78
O8 0.9335 0.7929 0.3675  1 Mo 1.78


Question: The highest calculated volume belongs to which entry?
Answer: Fe2P4Pb3O16